Compound: ErAgS2
Source: the Materials Project database
Functional: meta-GGA r2SCAN
Structure: relaxed

```
data_ErAgS2
_chemical_formula_sum 'Er4 Ag4 S8'
_cell_length_a 5.373
_cell_length_b 5.373
_cell_length_c 11.890
_cell_angle_alpha 90.00
_cell_angle_beta 90.00
_cell_angle_gamma 90.00
_symmetry_space_group_name_H-M 'I 41 m d'
_symmetry_Int_Tables_number 109
_symmetry_space_group_name_Hall 'I 4bw -2'
loop_
_atom_site_label
_atom_site_fract_x
_atom_site_fract_y
_atom_site_fract_z
_atom_site_occupancy
Er1 0.000 0.000 0.000 1
Ag1 0.000 0.000 0.462 1
S1 0.000 0.000 0.230 1
S2 0.000 0.000 0.774 1
```

Calculated values
DFT total energy in eV for the cell shown: -309.8
Calculated formation energy in eV/atom: -1.526
Magnetic moment in μB/f.u.: 0.00